(1)
The following is a PBE+U calculation of a geometry-optimized Sm2MnTe5Cl2O13 structure, from the Materials Project database.

POSCAR file:
```
Sm2MnTe5Cl2O13
1.0
-2.177 -1.282 -5.082
14.215 -0.021 -6.085
-2.356 -17.274 5.368
Cl Sm O Te Mn
8 8 52 20 4
Direct
0.763 0.207 0.464 Cl
0.263 0.293 0.036 Cl
0.237 0.793 0.536 Cl
0.227 0.251 0.318 Cl
0.273 0.751 0.818 Cl
0.727 0.249 0.182 Cl
0.737 0.707 0.964 Cl
0.773 0.749 0.682 Cl
0.738 0.052 0.779 Sm
0.762 0.552 0.279 Sm
0.775 0.980 0.076 Sm
0.275 0.520 0.424 Sm
0.225 0.020 0.924 Sm
0.725 0.480 0.576 Sm
0.262 0.948 0.221 Sm
0.238 0.448 0.721 Sm
0.959 0.600 0.527 O
0.965 0.676 0.246 O
0.544 0.863 0.111 O
0.670 0.066 0.598 O
0.185 0.214 0.612 O
0.685 0.286 0.888 O
0.982 0.859 0.279 O
0.535 0.176 0.746 O
0.956 0.363 0.611 O
0.355 0.513 0.054 O
0.088 0.485 0.203 O
0.580 0.617 0.400 O
0.830 0.566 0.098 O
0.035 0.324 0.754 O
0.459 0.900 0.973 O
0.444 0.459 0.304 O
0.855 0.987 0.446 O
0.315 0.714 0.112 O
0.944 0.041 0.196 O
0.916 0.927 0.951 O
0.912 0.515 0.797 O
0.482 0.641 0.221 O
0.084 0.073 0.049 O
0.044 0.637 0.389 O
0.080 0.883 0.100 O
0.420 0.383 0.600 O
0.541 0.100 0.027 O
0.330 0.934 0.402 O
0.069 0.048 0.333 O
0.041 0.400 0.473 O
0.645 0.487 0.946 O
0.518 0.359 0.779 O
0.584 0.427 0.451 O
0.931 0.952 0.667 O
0.055 0.547 0.654 O
0.145 0.013 0.554 O
0.018 0.141 0.721 O
0.920 0.117 0.900 O
0.416 0.573 0.549 O
0.456 0.137 0.889 O
0.431 0.548 0.833 O
0.412 0.985 0.703 O
0.569 0.452 0.167 O
0.945 0.453 0.346 O
0.465 0.824 0.254 O
0.445 0.047 0.154 O
0.556 0.541 0.696 O
0.555 0.953 0.846 O
0.170 0.434 0.902 O
0.056 0.959 0.804 O
0.588 0.015 0.297 O
0.815 0.786 0.388 O
0.807 0.695 0.458 Te
0.678 0.859 0.887 Te
0.693 0.195 0.958 Te
0.307 0.805 0.042 Te
0.311 0.396 0.211 Te
0.106 0.768 0.323 Te
0.689 0.604 0.789 Te
0.189 0.896 0.711 Te
0.822 0.359 0.387 Te
0.834 0.961 0.558 Te
0.894 0.232 0.677 Te
0.394 0.268 0.823 Te
0.666 0.461 0.058 Te
0.178 0.641 0.613 Te
0.322 0.141 0.113 Te
0.811 0.104 0.289 Te
0.334 0.539 0.942 Te
0.193 0.305 0.542 Te
0.606 0.732 0.177 Te
0.166 0.039 0.442 Te
0.830 0.407 0.850 Mn
0.170 0.593 0.150 Mn
0.330 0.093 0.650 Mn
0.670 0.907 0.350 Mn
```

Computed properties:
ΔE_f in eV per atom: -2.0847

***

(2)
The following is a PBE+U calculation of a geometry-optimized Li9Mn2Co5O16 structure, from the Materials Project database.

POSCAR file:
```
Li9Mn2Co5O16
1.0
5.152 0.000 0.000
-1.933 -5.604 0.000
-1.872 0.245 -9.913
Co Li O Mn
5 9 16 2
Direct
0.000 0.497 0.504 Co
0.998 0.750 0.250 Co
0.508 0.133 0.867 Co
0.495 0.375 0.623 Co
0.500 0.876 0.126 Co
0.493 0.378 0.124 Li
0.005 0.497 0.996 Li
0.998 0.247 0.253 Li
0.511 0.882 0.630 Li
0.013 0.006 0.505 Li
0.496 0.610 0.870 Li
0.982 0.751 0.748 Li
0.501 0.130 0.377 Li
0.001 0.250 0.750 Li
0.258 0.540 0.669 O
0.268 0.586 0.194 O
0.773 0.700 0.066 O
0.734 0.919 0.306 O
0.746 0.227 0.565 O
0.773 0.445 0.322 O
0.220 0.791 0.434 O
0.279 0.084 0.682 O
0.754 0.155 0.057 O
0.248 0.839 0.947 O
0.275 0.323 0.444 O
0.719 0.424 0.803 O
0.233 0.055 0.179 O
0.724 0.674 0.562 O
0.754 0.940 0.828 O
0.241 0.291 0.941 O
0.501 0.622 0.378 Mn
0.002 0.002 0.998 Mn
```

Computed properties:
ΔE_f in eV per atom: -1.8090
E above lowest polymorph in meV/atom: 55.2

***

(3)
The following is a PBE+U calculation of a geometry-optimized Ca2CoSi2O7 structure, from the Materials Project database.

POSCAR file:
```
Ca2CoSi2O7
1.0
-5.966 -4.988 -1.443
-3.563 2.333 6.665
-4.837 7.269 -5.131
O Si Ca Co
28 8 8 4
Direct
0.918 0.814 0.889 O
0.643 0.143 0.875 O
0.357 0.857 0.375 O
0.143 0.357 0.125 O
0.686 0.582 0.889 O
0.686 0.582 0.389 O
0.857 0.643 0.125 O
0.857 0.643 0.625 O
0.000 0.500 0.408 O
0.082 0.186 0.389 O
0.186 0.918 0.111 O
0.500 0.000 0.092 O
0.643 0.143 0.375 O
0.582 0.314 0.111 O
0.314 0.418 0.889 O
0.082 0.186 0.889 O
0.418 0.686 0.611 O
0.814 0.082 0.611 O
0.418 0.686 0.111 O
0.918 0.814 0.389 O
0.000 0.500 0.908 O
0.143 0.357 0.625 O
0.582 0.314 0.611 O
0.814 0.082 0.111 O
0.314 0.418 0.389 O
0.357 0.857 0.875 O
0.186 0.918 0.611 O
0.500 0.000 0.592 O
0.641 0.141 0.034 Si
0.641 0.141 0.534 Si
0.141 0.359 0.966 Si
0.359 0.859 0.034 Si
0.859 0.641 0.466 Si
0.859 0.641 0.966 Si
0.141 0.359 0.466 Si
0.359 0.859 0.534 Si
0.170 0.670 0.250 Ca
0.670 0.830 0.250 Ca
0.170 0.670 0.750 Ca
0.830 0.330 0.750 Ca
0.830 0.330 0.250 Ca
0.330 0.170 0.250 Ca
0.330 0.170 0.750 Ca
0.670 0.830 0.750 Ca
0.500 0.500 0.500 Co
0.000 0.000 0.500 Co
0.500 0.500 0.000 Co
0.000 0.000 0.000 Co
```

Computed properties:
Largest piezoelectric modulus in C/m2: 3.95
ΔE_f in eV per atom: -3.0690
E above lowest polymorph in meV/atom: 0.0

***

(4)
The following is a PBE+U calculation of a geometry-optimized V3H8N2O8 structure, from the Materials Project database.

POSCAR file:
```
V3H8N2O8
1.0
-0.355 -8.675 -2.478
8.995 -0.151 -0.759
0.434 -1.575 5.453
O H V N
16 16 6 4
Direct
0.500 0.000 0.894 O
0.000 0.500 0.894 O
0.808 0.916 0.896 O
0.868 0.368 0.299 O
0.632 0.868 0.299 O
0.416 0.308 0.896 O
0.692 0.416 0.896 O
0.500 0.500 0.291 O
0.916 0.192 0.896 O
0.584 0.692 0.896 O
0.132 0.632 0.299 O
0.308 0.584 0.896 O
0.368 0.132 0.299 O
0.192 0.084 0.896 O
0.000 0.000 0.291 O
0.084 0.808 0.896 O
0.889 0.742 0.642 H
0.901 0.599 0.452 H
0.401 0.901 0.452 H
0.758 0.611 0.642 H
0.242 0.389 0.642 H
0.389 0.758 0.642 H
0.733 0.233 0.419 H
0.111 0.258 0.642 H
0.099 0.401 0.452 H
0.611 0.242 0.642 H
0.258 0.889 0.642 H
0.267 0.767 0.419 H
0.233 0.267 0.419 H
0.599 0.099 0.452 H
0.767 0.733 0.419 H
0.742 0.111 0.642 H
0.634 0.866 0.004 V
0.366 0.134 0.004 V
0.134 0.634 0.004 V
0.866 0.366 0.004 V
0.500 0.500 0.003 V
0.000 0.000 0.003 V
0.171 0.329 0.537 N
0.671 0.171 0.537 N
0.329 0.829 0.537 N
0.829 0.671 0.537 N
```

Computed properties:
ΔE_f in eV per atom: -1.4855

***

(5)
The following is a PBE+U calculation of a geometry-optimized NiH8Cl2O4 structure, from the Materials Project database.

POSCAR file:
```
NiH8Cl2O4
1.0
9.405 0.000 0.000
0.000 5.996 0.000
0.000 4.136 10.759
O Cl H Ni
16 8 32 4
Direct
0.290 0.013 0.867 O
0.632 0.526 0.302 O
0.478 0.990 0.661 O
0.789 0.987 0.633 O
0.368 0.526 0.802 O
0.267 0.669 0.369 O
0.133 0.473 0.199 O
0.020 0.014 0.338 O
0.522 0.990 0.161 O
0.867 0.473 0.699 O
0.980 0.014 0.838 O
0.710 0.013 0.367 O
0.240 0.343 0.618 O
0.733 0.669 0.869 O
0.211 0.987 0.133 O
0.760 0.343 0.118 O
0.938 0.476 0.432 Cl
0.610 0.134 0.882 Cl
0.436 0.522 0.070 Cl
0.062 0.476 0.932 Cl
0.111 0.851 0.621 Cl
0.390 0.134 0.382 Cl
0.564 0.522 0.570 Cl
0.889 0.851 0.121 Cl
0.440 0.827 0.706 H
0.687 0.006 0.644 H
0.823 0.470 0.126 H
0.937 0.173 0.794 H
0.729 0.531 0.947 H
0.051 0.968 0.426 H
0.949 0.968 0.926 H
0.177 0.470 0.626 H
0.686 0.806 0.883 H
0.187 0.992 0.857 H
0.327 0.873 0.935 H
0.560 0.827 0.206 H
0.271 0.531 0.447 H
0.763 0.462 0.690 H
0.813 0.992 0.357 H
0.408 0.490 0.886 H
0.736 0.537 0.315 H
0.181 0.206 0.618 H
0.819 0.206 0.118 H
0.551 0.032 0.072 H
0.097 0.513 0.112 H
0.903 0.513 0.612 H
0.063 0.173 0.294 H
0.314 0.806 0.383 H
0.264 0.537 0.815 H
0.174 0.127 0.065 H
0.313 0.006 0.144 H
0.237 0.462 0.190 H
0.826 0.127 0.565 H
0.592 0.490 0.386 H
0.673 0.873 0.435 H
0.449 0.032 0.572 H
0.422 0.249 0.735 Ni
0.917 0.749 0.767 Ni
0.083 0.749 0.267 Ni
0.578 0.249 0.235 Ni
```

Computed properties:
ΔE_f in eV per atom: -1.1541
E above lowest polymorph in meV/atom: 0.0

***

(6)
The following is a PBE+U calculation of a geometry-optimized Li2TiFeO4 structure, from the Materials Project database.

POSCAR file:
```
Li2TiFeO4
1.0
-2.882 -1.643 2.368
2.890 -1.679 2.352
0.060 7.144 5.028
Fe O Li Ti
2 8 4 2
Direct
0.000 0.500 0.752 Fe
0.000 0.500 0.253 Fe
0.000 0.000 0.269 O
0.000 0.000 0.729 O
0.500 0.999 0.999 O
0.500 0.000 0.499 O
0.500 0.500 0.769 O
0.000 0.500 0.500 O
0.000 0.500 0.000 O
0.500 0.499 0.228 O
0.500 0.000 0.751 Li
0.500 0.000 0.248 Li
0.500 0.500 0.503 Li
0.000 0.000 0.002 Li
0.500 0.502 0.999 Ti
0.001 0.000 0.499 Ti
```

Computed properties:
ΔE_f in eV per atom: -2.5281
E above lowest polymorph in meV/atom: 42.2

***

(7)
The following is a PBE+U calculation of a geometry-optimized NaMgMnO2 structure, from the Materials Project database.

POSCAR file:
```
NaMgMnO2
1.0
-3.108 0.145 0.880
-0.979 -1.384 2.751
-0.094 7.266 4.105
Na O Mg Mn
1 2 1 1
Direct
0.528 0.293 0.629 Na
0.253 0.384 0.133 O
0.764 0.652 0.809 O
0.529 0.732 0.236 Mg
0.030 0.002 0.930 Mn
```

Computed properties:
ΔE_f in eV per atom: -1.7907
E above lowest polymorph in meV/atom: 46.8

***

(8)
The following is a PBE+U calculation of a geometry-optimized Li9Mn2Co5O16 structure, from the Materials Project database.

POSCAR file:
```
Li9Mn2Co5O16
1.0
-0.459 -2.800 0.609
-0.490 -1.010 -5.012
18.684 -3.689 -2.890
O Li Co Mn
16 9 5 2
Direct
0.000 0.050 0.308 O
0.500 0.402 0.693 O
0.500 0.919 0.194 O
0.000 0.676 0.445 O
0.500 0.765 0.556 O
0.500 0.081 0.806 O
0.000 0.950 0.692 O
0.500 0.668 0.940 O
0.500 0.235 0.444 O
0.500 0.332 0.060 O
0.000 0.324 0.555 O
0.000 0.540 0.805 O
0.000 0.460 0.195 O
0.000 0.168 0.946 O
0.000 0.832 0.054 O
0.500 0.598 0.307 O
0.500 0.108 0.618 Li
0.000 0.388 0.384 Li
0.000 0.000 0.500 Li
0.500 0.380 0.873 Li
0.000 0.863 0.877 Li
0.000 0.137 0.123 Li
0.500 0.620 0.127 Li
0.000 0.612 0.616 Li
0.500 0.892 0.382 Li
0.500 0.256 0.253 Co
0.500 0.744 0.747 Co
0.500 0.000 0.000 Co
0.500 0.500 0.500 Co
0.000 0.500 0.000 Co
0.000 0.757 0.251 Mn
0.000 0.243 0.749 Mn
```

Computed properties:
ΔE_f in eV per atom: -1.8068
E above lowest polymorph in meV/atom: 57.3

***

(9)
The following is a PBE+U calculation of a geometry-optimized LiVO2 structure, from the Materials Project database.

POSCAR file:
```
LiVO2
1.0
-3.526 1.975 3.211
0.301 -3.506 3.850
3.703 3.279 6.166
O V Li
10 5 5
Direct
0.239 0.332 0.049 O
0.223 0.549 0.668 O
0.238 0.143 0.451 O
0.755 0.235 0.761 O
0.231 0.949 0.866 O
0.777 0.451 0.332 O
0.761 0.668 0.951 O
0.762 0.857 0.549 O
0.245 0.765 0.239 O
0.769 0.051 0.134 O
0.005 0.310 0.886 V
0.995 0.690 0.114 V
0.004 0.901 0.692 V
0.996 0.099 0.308 V
0.500 0.000 0.000 V
0.495 0.779 0.418 Li
0.505 0.221 0.582 Li
0.494 0.393 0.220 Li
0.000 0.500 0.500 Li
0.506 0.607 0.780 Li
```

Computed properties:
ΔE_f in eV per atom: -2.4457

***

The following magnetic moment values (in Bohr magnetons per cell) correspond, in order, to the records above: 20.000 12.000 0.000 2.003 8.001 7.950 4.939 13.503 10.000.
The following energy values (in eV per cell) correspond, in order, to the records above: -558.74 -185.58 -347.95 -262.50 -273.73 -110.39 -27.89 -185.51 -137.99.